1.
TbAgSn2: relaxed, PBE.

Geometry as POSCAR:
```
TbAgSn2
1.0
-0.8145 4.1505 1.9317
0.2691 -1.9153 4.2286
4.3791 0.8169 0.0913
Sn Tb Ag
2 1 1
direct
0.5000 0.0000 0.5000
0.0000 0.5000 0.5000
0.0000 0.0000 0.0000
0.5000 0.5000 0.0000
```

## Properties
VASP energy = -4.324 eV per atom

***

2.
KRbO3: relaxed, PBE.

Geometry as POSCAR:
```
KRbO3
1.0
5.0026 0.0000 0.0000
0.0000 5.0026 0.0000
0.0000 0.0000 5.0026
O Rb K
3 1 1
direct
0.0000 0.5000 0.5000
0.5000 0.5000 0.0000
0.5000 0.0000 0.5000
0.0000 0.0000 0.0000
0.5000 0.5000 0.5000
```

## Properties
MP2020-corrected energy = -3.72 eV/atom

***

3.
Si3NCl9: relaxed, PBE.

Geometry as POSCAR:
```
Si3NCl9
1.0
-8.0820 4.7524 0.7000
7.1776 4.3207 -5.7614
-1.6895 -6.8531 -8.3105
N Cl Si
2 18 6
direct
0.8226 0.2630 0.2375
0.1774 0.7370 0.7625
0.9146 0.8438 0.6474
0.8173 0.5287 0.7799
0.9628 0.1649 0.0445
0.3294 0.2566 0.6785
0.0372 0.8351 0.9555
0.7115 0.4998 0.0982
0.9789 0.2838 0.6110
0.6670 0.4060 0.3881
0.6706 0.7434 0.3215
0.1827 0.4713 0.2201
0.5552 0.9714 0.4460
0.5525 0.8309 0.8558
0.0211 0.7162 0.3890
0.3330 0.5940 0.6119
0.2885 0.5002 0.9018
0.0854 0.1562 0.3526
0.4475 0.1691 0.1442
0.4448 0.0286 0.5540
0.6832 0.3204 0.2011
0.8064 0.6534 0.4394
0.3168 0.6796 0.7989
0.0124 0.7311 0.7905
0.1936 0.3466 0.5606
0.9876 0.2689 0.2095
```

## Properties
Offset from the most stable computed form = 0.371 eV per atom
MP2020-corrected energy = -4.43 eV/atom

***

4.
K2SnH12N6: relaxed, PBE.

Geometry as POSCAR:
```
K2SnH12N6
1.0
-7.5137 0.1706 -1.6558
-6.0735 -1.0767 4.6021
-5.4154 4.9880 2.2405
H K N Sn
12 2 6 1
direct
0.2582 0.6854 0.2832
0.7418 0.3146 0.7168
0.4574 0.9913 0.6712
0.6854 0.2832 0.2582
0.2832 0.2582 0.6854
0.9913 0.6712 0.4574
0.3288 0.5426 0.0087
0.5426 0.0087 0.3288
0.0087 0.3288 0.5426
0.3146 0.7168 0.7418
0.6712 0.4574 0.9913
0.7168 0.7418 0.3146
0.8196 0.8196 0.8196
0.1804 0.1804 0.1804
0.0737 0.7950 0.3341
0.6659 0.9263 0.2050
0.3341 0.0737 0.7950
0.2050 0.6659 0.9263
0.9263 0.2050 0.6659
0.7950 0.3341 0.0737
0.0000 0.0000 0.0000
```

## Properties
MP2020-corrected energy = -5.03 eV/atom

***

5.
Cs2Zn5P6H14O28: relaxed, PBE.

Geometry as POSCAR:
```
Cs2Zn5P6H14O28
1.0
8.2094 0.2219 -3.2900
-2.7471 8.9146 -3.8637
-0.1628 -0.3365 10.0439
H Zn P O Cs
14 5 6 28 2
direct
0.6323 0.2570 0.3754
0.4451 0.6107 0.9662
0.3849 0.6445 0.7142
0.9133 0.0327 0.3864
0.2908 0.2320 0.4512
0.6235 0.9200 0.7203
0.3677 0.7430 0.6246
0.3765 0.0800 0.2797
0.8176 0.7433 0.7052
0.1824 0.2567 0.2948
0.5549 0.3893 0.0338
0.0867 0.9673 0.6136
0.7092 0.7680 0.5488
0.6151 0.3555 0.2858
0.4401 0.8279 0.2883
0.9029 0.8408 0.0617
0.5000 0.5000 0.5000
0.5599 0.1721 0.7117
0.0971 0.1592 0.9383
0.8061 0.0533 0.5621
0.3320 0.9288 0.0089
0.1939 0.9467 0.4379
0.6219 0.5201 0.8673
0.3781 0.4799 0.1327
0.6680 0.0712 0.9911
0.1480 0.9041 0.5563
0.1616 0.7892 0.9395
0.7242 0.9376 0.0080
0.7027 0.7112 0.6080
0.2139 0.3634 0.9799
0.2973 0.2888 0.3920
0.7324 0.1797 0.6367
0.6766 0.8934 0.4651
0.0273 0.9466 0.3072
0.0156 0.1889 0.0987
0.3234 0.1066 0.5349
0.2758 0.0624 0.9920
0.2676 0.8203 0.3633
0.4200 0.9985 0.2253
0.4086 0.6270 0.1169
0.3790 0.5158 0.2953
0.9727 0.0534 0.6928
0.5405 0.4171 0.1367
0.6210 0.4842 0.7047
0.5800 0.0015 0.7747
0.7861 0.6366 0.0201
0.5914 0.3730 0.8831
0.6544 0.3614 0.3957
0.8384 0.2108 0.0605
0.3456 0.6386 0.6043
0.8520 0.0959 0.4437
0.9844 0.8111 0.9013
0.4595 0.5829 0.8633
0.0032 0.4619 0.7276
0.9968 0.5381 0.2724
```

## Properties
Offset from the most stable computed form = 0.206 eV per atom
MP2020-corrected energy = -5.95 eV/atom

***

6.
V3Se4: relaxed, PBE.

Geometry as POSCAR:
```
V3Se4
1.0
-1.5592 -0.8142 2.9153
4.5607 -3.9618 1.3328
1.6091 6.6646 0.7335
V Se
3 4
direct
0.7448 0.6768 0.4895
0.0000 0.0000 0.0000
0.2552 0.3232 0.5105
0.1072 0.4524 0.2144
0.3588 0.0201 0.7175
0.8928 0.5476 0.7856
0.6412 0.9799 0.2825
```

## Properties
MP2020-corrected energy = -6.89 eV/atom